P | {
  "formula": "MgNb4I4O8",
  "functional": "GGA-PBE",
  "state": "relaxed",
  "sg": "No. 6",
  "rho_g_cm3": 4.50,
  "lattice_angstrom": [[-0.893, 3.029, -2.406], [-1.988, -2.381, -2.260], [-20.587, 4.547, 13.368]],
  "species": ["O", "O", "O", "O", "O", "O", "O", "O", "Mg", "Nb", "Nb", "Nb", "Nb", "I", "I", "I", "I"],
  "fractional_positions": [[0.750, 0.001, 0.065], [0.250, 0.999, 0.928], [0.750, 0.498, 0.573], [0.250, 0.500, 0.018], [0.750, 0.500, 0.962], [0.250, 0.998, 0.539], [0.750, 0.998, 0.483], [0.250, 0.498, 0.436], [0.250, 0.000, 0.248], [0.250, 0.998, 0.460], [0.750, 0.501, 0.041], [0.250, 0.499, 0.933], [0.750, 0.998, 0.568], [0.750, 0.500, 0.842], [0.250, 0.500, 0.172], [0.250, 0.000, 0.659], [0.750, 0.014, 0.323]]
}


Q | {
  "formula": "MgNb4I4O8",
  "functional": "GGA-PBE",
  "state": "relaxed",
  "sg": "No. 6",
  "rho_g_cm3": 5.09,
  "lattice_angstrom": [[3.969, 0.000, 0.000], [0.000, 3.891, 0.008], [0.000, 0.049, 21.809]],
  "species": ["O", "O", "O", "O", "O", "O", "O", "O", "I", "I", "I", "I", "Nb", "Nb", "Nb", "Nb", "Mg"],
  "fractional_positions": [[0.750, 0.511, 0.970], [0.250, 0.497, 0.035], [0.250, 0.000, 0.910], [0.250, 0.999, 0.532], [0.750, 0.003, 0.071], [0.750, 0.498, 0.577], [0.250, 0.504, 0.431], [0.750, 0.001, 0.470], [0.250, 0.998, 0.675], [0.250, 0.503, 0.171], [0.750, 0.009, 0.332], [0.750, 0.496, 0.798], [0.750, 0.504, 0.069], [0.250, 0.485, 0.945], [0.250, 0.005, 0.436], [0.750, 0.994, 0.561], [0.250, 0.996, 0.818]]
}


Ranked by calculated energy, most stable first: P, Q.


P | {
  "formula": "MgSb2P2H2O10",
  "functional": "GGA-PBE",
  "state": "relaxed",
  "sg": "No. 1",
  "rho_g_cm3": 3.42,
  "lattice_angstrom": [[5.838, -0.362, -0.139], [-2.765, 8.337, 0.081], [-0.758, -2.227, 5.017]],
  "species": ["O", "O", "O", "O", "O", "O", "O", "O", "O", "O", "Sb", "Sb", "Mg", "P", "P", "H", "H"],
  "fractional_positions": [[0.712, 0.918, 0.635], [0.202, 0.064, 0.442], [0.438, 0.255, 0.936], [0.099, 0.685, 0.827], [0.356, 0.627, 0.254], [0.789, 0.654, 0.351], [0.139, 0.341, 0.685], [0.564, 0.379, 0.594], [0.689, 0.857, 0.141], [0.043, 0.246, 0.165], [0.992, 0.487, 0.949], [0.003, 0.981, 0.021], [0.455, 0.425, 0.281], [0.652, 0.777, 0.355], [0.337, 0.256, 0.667], [0.000, 0.272, 0.336], [0.995, 0.658, 0.649]]
}


Q | {
  "formula": "MgSb2P2H2O10",
  "functional": "GGA-PBE",
  "state": "relaxed",
  "sg": "No. 1",
  "rho_g_cm3": 3.51,
  "lattice_angstrom": [[-3.548, -2.838, 3.546], [0.477, -5.484, -6.934], [4.210, -0.192, 3.058]],
  "species": ["P", "P", "O", "O", "O", "O", "O", "O", "O", "O", "O", "O", "H", "H", "Sb", "Sb", "Mg"],
  "fractional_positions": [[0.367, 0.199, 0.675], [0.610, 0.753, 0.304], [0.991, 0.357, 0.225], [0.602, 0.796, 0.046], [0.207, 0.320, 0.719], [0.641, 0.287, 0.753], [0.299, 0.060, 0.357], [0.077, 0.794, 0.834], [0.779, 0.635, 0.295], [0.352, 0.673, 0.340], [0.710, 0.917, 0.598], [0.319, 0.090, 0.857], [0.953, 0.727, 0.648], [0.132, 0.413, 0.387], [0.015, 0.030, 0.035], [0.968, 0.485, 0.984], [0.413, 0.854, 0.768]]
}


Ranked by calculated energy, most stable first: Q, P.


P | {
  "formula": "Ca3Nb2N4",
  "functional": "GGA-PBE",
  "state": "relaxed",
  "sg": "No. 15",
  "rho_g_cm3": 3.79,
  "lattice_angstrom": [[-6.915, -2.332, 4.240], [7.094, -1.318, 3.367], [-0.057, 4.959, 2.061]],
  "species": ["Ca", "Ca", "Ca", "Ca", "Ca", "Ca", "N", "N", "N", "N", "N", "N", "N", "N", "Nb", "Nb", "Nb", "Nb"],
  "fractional_positions": [[0.731, 0.741, 0.493], [0.731, 0.991, 0.993], [0.000, 0.397, 0.250], [0.269, 0.259, 0.507], [0.269, 0.009, 0.007], [0.000, 0.603, 0.750], [0.772, 0.310, 0.898], [0.228, 0.690, 0.102], [0.664, 0.666, 0.940], [0.772, 0.462, 0.398], [0.664, 0.998, 0.440], [0.336, 0.334, 0.060], [0.228, 0.538, 0.602], [0.336, 0.002, 0.560], [0.379, 0.584, 0.935], [0.621, 0.206, 0.565], [0.621, 0.416, 0.065], [0.379, 0.794, 0.435]]
}


Q | {
  "formula": "Ca3Nb2N4",
  "functional": "GGA-PBE",
  "state": "relaxed",
  "sg": "No. 52",
  "rho_g_cm3": 4.10,
  "lattice_angstrom": [[-1.084, -0.718, 5.736], [3.444, -10.044, -0.606], [8.712, 2.866, 2.004]],
  "species": ["Nb", "Nb", "Nb", "Nb", "Nb", "Nb", "Nb", "Nb", "N", "N", "N", "N", "N", "N", "N", "N", "N", "N", "N", "N", "N", "N", "N", "N", "Ca", "Ca", "Ca", "Ca", "Ca", "Ca", "Ca", "Ca", "Ca", "Ca", "Ca", "Ca"],
  "fractional_positions": [[0.250, 0.500, 0.263], [0.623, 0.250, 0.750], [0.123, 0.250, 0.250], [0.877, 0.750, 0.750], [0.750, 0.000, 0.763], [0.377, 0.750, 0.250], [0.750, 0.500, 0.737], [0.250, 0.000, 0.237], [0.985, 0.418, 0.159], [0.157, 0.652, 0.384], [0.657, 0.848, 0.884], [0.157, 0.848, 0.116], [0.485, 0.082, 0.659], [0.843, 0.348, 0.616], [0.657, 0.652, 0.616], [0.485, 0.418, 0.841], [0.515, 0.582, 0.159], [0.843, 0.152, 0.884], [0.343, 0.348, 0.384], [0.343, 0.152, 0.116], [0.015, 0.582, 0.841], [0.985, 0.082, 0.341], [0.015, 0.918, 0.659], [0.515, 0.918, 0.341], [0.115, 0.156, 0.580], [0.385, 0.656, 0.920], [0.615, 0.156, 0.420], [0.885, 0.844, 0.420], [0.885, 0.656, 0.080], [0.250, 0.500, 0.600], [0.115, 0.344, 0.920], [0.750, 0.000, 0.100], [0.615, 0.344, 0.080], [0.385, 0.844, 0.580], [0.750, 0.500, 0.400], [0.250, 0.000, 0.900]]
}


Ranked by calculated energy, most stable first: P, Q.


P | {
  "formula": "Sr5Bi3O12",
  "functional": "GGA-PBE",
  "state": "relaxed",
  "sg": "No. 123",
  "rho_g_cm3": 6.26,
  "lattice_angstrom": [[3.492, 5.089, 0.194], [-7.088, 4.794, 1.829], [0.957, -0.887, 6.035]],
  "species": ["O", "O", "O", "O", "O", "O", "O", "O", "O", "O", "O", "O", "Bi", "Bi", "Bi", "Sr", "Sr", "Sr", "Sr", "Sr"],
  "fractional_positions": [[0.751, 0.000, 0.751], [0.249, 0.000, 0.751], [0.751, 0.000, 0.249], [0.737, 0.500, 0.737], [0.737, 0.500, 0.263], [0.000, 0.764, 0.000], [0.249, 0.000, 0.249], [0.500, 0.251, 0.500], [0.500, 0.749, 0.500], [0.263, 0.500, 0.263], [0.263, 0.500, 0.737], [0.000, 0.236, 0.000], [0.500, 0.000, 0.500], [0.500, 0.500, 0.500], [0.000, 0.000, 0.000], [0.500, 0.737, 0.000], [0.000, 0.500, 0.000], [0.000, 0.737, 0.500], [0.000, 0.263, 0.500], [0.500, 0.263, 0.000]]
}


Q | {
  "formula": "Sr5Bi3O12",
  "functional": "GGA-PBE",
  "state": "relaxed",
  "sg": "No. 2",
  "rho_g_cm3": 6.51,
  "lattice_angstrom": [[6.027, 0.000, 0.000], [0.009, 6.206, 0.000], [0.022, 0.080, 8.577]],
  "species": ["Sr", "Sr", "Sr", "Sr", "Sr", "O", "O", "O", "O", "O", "O", "O", "O", "O", "O", "O", "O", "Bi", "Bi", "Bi"],
  "fractional_positions": [[0.981, 0.449, 0.242], [0.019, 0.551, 0.758], [0.000, 0.000, 0.000], [0.488, 0.048, 0.754], [0.512, 0.952, 0.246], [0.287, 0.789, 0.559], [0.785, 0.681, 0.048], [0.713, 0.211, 0.441], [0.611, 0.453, 0.749], [0.215, 0.319, 0.952], [0.677, 0.218, 0.057], [0.389, 0.547, 0.251], [0.890, 0.951, 0.728], [0.323, 0.782, 0.943], [0.110, 0.049, 0.272], [0.210, 0.281, 0.568], [0.790, 0.719, 0.432], [0.500, 0.500, 0.000], [0.500, 0.500, 0.500], [0.000, 0.000, 0.500]]
}


Ranked by calculated energy, most stable first: Q, P.


P | {
  "formula": "MgZn2Co4S8",
  "functional": "GGA-PBE",
  "state": "relaxed",
  "sg": "No. 12",
  "rho_g_cm3": 4.64,
  "lattice_angstrom": [[6.007, -0.014, -3.455], [-3.981, 5.681, 0.004], [-0.060, 0.007, 6.836]],
  "species": ["Zn", "Zn", "S", "S", "S", "S", "S", "S", "S", "S", "Co", "Co", "Co", "Co", "Mg"],
  "fractional_positions": [[0.000, 0.000, 0.000], [0.500, 0.000, 0.000], [0.537, 0.264, 0.747], [0.026, 0.736, 0.253], [0.023, 0.291, 0.255], [0.531, 0.266, 0.296], [0.974, 0.264, 0.747], [0.469, 0.734, 0.704], [0.977, 0.709, 0.745], [0.463, 0.736, 0.253], [0.500, 0.000, 0.500], [0.500, 0.500, 0.500], [0.000, 0.500, 0.500], [0.000, 0.500, 0.000], [0.500, 0.500, 0.000]]
}


Q | {
  "formula": "MgZn2Co4S8",
  "functional": "GGA-PBE",
  "state": "relaxed",
  "sg": "No. 8",
  "rho_g_cm3": 4.46,
  "lattice_angstrom": [[1.263, 3.525, -6.157], [5.153, -3.206, 3.443], [-3.620, -5.962, 0.059]],
  "species": ["S", "S", "S", "S", "S", "S", "S", "S", "Co", "Co", "Co", "Co", "Mg", "Zn", "Zn"],
  "fractional_positions": [[0.972, 0.696, 0.747], [0.473, 0.730, 0.714], [0.543, 0.257, 0.743], [0.528, 0.253, 0.304], [0.028, 0.286, 0.270], [0.044, 0.721, 0.279], [0.456, 0.721, 0.279], [0.957, 0.257, 0.743], [0.003, 0.492, 0.014], [0.497, 0.986, 0.508], [0.506, 0.488, 0.512], [0.994, 0.488, 0.512], [0.250, 0.139, 0.861], [0.940, 0.943, 0.058], [0.559, 0.942, 0.057]]
}


Ranked by calculated energy, most stable first: P, Q.


P | {
  "formula": "Er2TiO5",
  "functional": "GGA-PBE",
  "state": "relaxed",
  "sg": "No. 62",
  "rho_g_cm3": 7.12,
  "lattice_angstrom": [[3.695, 0.000, 0.000], [0.000, 10.440, 0.000], [0.000, 0.000, 11.189]],
  "species": ["O", "O", "O", "O", "O", "O", "O", "O", "O", "O", "O", "O", "O", "O", "O", "O", "O", "O", "O", "O", "Ti", "Ti", "Ti", "Ti", "Er", "Er", "Er", "Er", "Er", "Er", "Er", "Er"],
  "fractional_positions": [[0.750, 0.274, 0.957], [0.250, 0.765, 0.726], [0.250, 0.992, 0.104], [0.250, 0.226, 0.457], [0.250, 0.492, 0.396], [0.750, 0.008, 0.896], [0.750, 0.486, 0.161], [0.750, 0.235, 0.274], [0.250, 0.514, 0.839], [0.250, 0.756, 0.382], [0.750, 0.244, 0.618], [0.250, 0.256, 0.118], [0.250, 0.726, 0.043], [0.250, 0.014, 0.661], [0.750, 0.744, 0.882], [0.250, 0.265, 0.774], [0.750, 0.986, 0.339], [0.750, 0.508, 0.604], [0.750, 0.735, 0.226], [0.750, 0.774, 0.543], [0.250, 0.680, 0.878], [0.250, 0.180, 0.622], [0.750, 0.320, 0.122], [0.750, 0.820, 0.378], [0.750, 0.389, 0.777], [0.750, 0.865, 0.057], [0.250, 0.135, 0.943], [0.750, 0.889, 0.723], [0.750, 0.365, 0.443], [0.250, 0.635, 0.557], [0.250, 0.111, 0.277], [0.250, 0.611, 0.223]]
}


Q | {
  "formula": "Er2TiO5",
  "functional": "GGA-PBE",
  "state": "relaxed",
  "sg": "No. 9",
  "rho_g_cm3": 7.28,
  "lattice_angstrom": [[-2.930, -5.672, 0.104], [-0.167, -4.575, 4.451], [-6.375, 0.261, 3.987]],
  "species": ["O", "O", "O", "O", "O", "O", "O", "O", "O", "O", "Er", "Er", "Er", "Er", "Ti", "Ti"],
  "fractional_positions": [[0.248, 0.610, 0.956], [0.315, 0.026, 0.859], [0.976, 0.686, 0.640], [0.392, 0.754, 0.543], [0.026, 0.315, 0.359], [0.754, 0.392, 0.043], [0.831, 0.171, 0.753], [0.686, 0.976, 0.140], [0.610, 0.248, 0.456], [0.171, 0.831, 0.253], [0.354, 0.372, 0.251], [0.647, 0.632, 0.748], [0.372, 0.354, 0.751], [0.632, 0.647, 0.248], [0.995, 0.006, 0.991], [0.006, 0.995, 0.491]]
}


Ranked by calculated energy, most stable first: P, Q.


P | {
  "formula": "Na2Sm2MgTi2O8",
  "functional": "GGA-PBE",
  "state": "relaxed",
  "sg": "No. 99",
  "rho_g_cm3": 4.46,
  "lattice_angstrom": [[-1.897, -1.395, 2.809], [-1.757, -2.246, -2.302], [11.686, -11.421, 2.223]],
  "species": ["O", "O", "O", "O", "O", "O", "O", "O", "Mg", "Na", "Na", "Ti", "Ti", "Sm", "Sm"],
  "fractional_positions": [[0.750, 0.250, 0.694], [0.750, 0.750, 0.546], [0.250, 0.750, 0.246], [0.750, 0.750, 0.005], [0.750, 0.250, 0.246], [0.250, 0.750, 0.694], [0.250, 0.250, 0.390], [0.250, 0.250, 0.114], [0.250, 0.250, 0.758], [0.750, 0.750, 0.405], [0.250, 0.250, 0.531], [0.750, 0.750, 0.655], [0.250, 0.250, 0.282], [0.750, 0.750, 0.149], [0.250, 0.250, 0.981]]
}


Q | {
  "formula": "Na2Sm2MgTi2O8",
  "functional": "GGA-PBE",
  "state": "relaxed",
  "sg": "No. 115",
  "rho_g_cm3": 5.34,
  "lattice_angstrom": [[-0.890, -1.543, 3.480], [1.795, -3.322, -1.014], [10.386, 4.230, 4.532]],
  "species": ["O", "O", "O", "O", "O", "O", "O", "O", "Na", "Na", "Mg", "Ti", "Ti", "Sm", "Sm"],
  "fractional_positions": [[0.750, 0.250, 0.249], [0.250, 0.750, 0.233], [0.750, 0.750, 0.926], [0.250, 0.250, 0.074], [0.750, 0.750, 0.571], [0.750, 0.250, 0.751], [0.250, 0.750, 0.767], [0.250, 0.250, 0.429], [0.250, 0.250, 0.637], [0.750, 0.750, 0.363], [0.750, 0.250, 0.500], [0.250, 0.250, 0.257], [0.750, 0.750, 0.743], [0.750, 0.750, 0.111], [0.250, 0.250, 0.889]]
}


Ranked by calculated energy, most stable first: P, Q.


P | {
  "formula": "BaSrCe2O6",
  "functional": "GGA-PBE",
  "state": "relaxed",
  "sg": "No. 65",
  "rho_g_cm3": 5.80,
  "lattice_angstrom": [[0.529, -3.882, 2.175], [-5.748, -1.678, -1.599], [2.126, -2.623, -5.197]],
  "species": ["O", "O", "O", "O", "O", "O", "Ce", "Ce", "Ba", "Sr"],
  "fractional_positions": [[0.000, 0.316, 0.684], [0.500, 0.000, 0.500], [0.000, 0.189, 0.189], [0.500, 0.500, 0.000], [0.000, 0.684, 0.316], [0.000, 0.811, 0.811], [0.000, 0.000, 0.500], [0.000, 0.500, 0.000], [0.500, 0.000, 0.000], [0.500, 0.500, 0.500]]
}


Q | {
  "formula": "BaSrCe2O6",
  "functional": "GGA-PBE",
  "state": "relaxed",
  "sg": "No. 11",
  "rho_g_cm3": 5.90,
  "lattice_angstrom": [[-6.169, 0.000, 0.007], [0.008, 0.000, -6.249], [0.000, -8.773, 0.000]],
  "species": ["Ba", "Ba", "O", "O", "O", "O", "O", "O", "O", "O", "O", "O", "O", "O", "Sr", "Sr", "Ce", "Ce", "Ce", "Ce"],
  "fractional_positions": [[0.992, 0.965, 0.250], [0.008, 0.035, 0.750], [0.791, 0.210, 0.043], [0.103, 0.518, 0.250], [0.581, 0.953, 0.750], [0.295, 0.295, 0.554], [0.209, 0.790, 0.957], [0.897, 0.482, 0.750], [0.295, 0.295, 0.946], [0.705, 0.705, 0.446], [0.705, 0.705, 0.054], [0.209, 0.790, 0.543], [0.791, 0.210, 0.457], [0.419, 0.047, 0.250], [0.490, 0.538, 0.750], [0.510, 0.462, 0.250], [0.500, 0.000, 0.000], [0.000, 0.500, 0.500], [0.000, 0.500, 0.000], [0.500, 0.000, 0.500]]
}


Ranked by calculated energy, most stable first: Q, P.